Record 1
The following is a GGA-PBE calculation of a relaxed AuXe2F17 crystal, from the Materials Project database.

## Properties
Formation energy from the elements: -0.918 eV/atom
SG: Pnma
Total moment: 0.00 μB per atom

Cell: 9.3034 8.8537 16.1971 Å, 90.00 90.00 90.00°
With the nearest neighbours (Å) after each atom.
Element x y z (fractional)
Au: 0.1568 0.2500 0.0225  6 F 1.93-1.98
Au: 0.3432 0.7500 0.5225  6 F 1.93-1.98
Au: 0.6568 0.2500 0.4775  6 F 1.93-1.98
Au: 0.8432 0.7500 0.9775  6 F 1.93-1.98
Xe: 0.2019 0.2500 0.3825  5 F 1.97-2.00
Xe: 0.2094 0.7500 0.1615  5 F 1.98-2.00
Xe: 0.2906 0.2500 0.6615  5 F 1.98-2.00
Xe: 0.2981 0.7500 0.8825  5 F 1.97-2.00
Xe: 0.7019 0.2500 0.1175  5 F 1.97-2.00
Xe: 0.7094 0.7500 0.3385  5 F 1.98-2.00
Xe: 0.7906 0.2500 0.8385  5 F 1.98-2.00
Xe: 0.7981 0.7500 0.6175  5 F 1.97-2.00
F: 0.0208 0.7500 0.9101  1 Au 1.98
F: 0.0411 0.2500 0.9201  1 Au 1.98
F: 0.0671 0.0910 0.4198  1 Xe 1.98
F: 0.0671 0.4090 0.4198  1 Xe 1.98
F: 0.0720 0.2500 0.2862  1 Xe 1.97
F: 0.0801 0.5870 0.2042  1 Xe 2.00
F: 0.0801 0.9130 0.2042  1 Xe 2.00
F: 0.1384 0.0941 0.6557  1 Xe 1.98
F: 0.1384 0.4059 0.6557  1 Xe 1.98
F: 0.1585 0.0296 0.0226  1 Au 1.95
F: 0.1585 0.4704 0.0226  1 Au 1.95
F: 0.1689 0.7500 0.4580  1 Au 1.93
F: 0.2023 0.5890 0.8156  1 Xe 2.00
F: 0.2023 0.9110 0.8156  1 Xe 2.00
F: 0.2278 0.2500 0.5243  2 Xe 2.30-2.31
F: 0.2294 0.7500 0.6223  1 Au 1.93
F: 0.2320 0.2500 0.7788  1 Xe 1.98
F: 0.2680 0.7500 0.2788  1 Xe 1.98
F: 0.2706 0.2500 0.1223  1 Au 1.93
F: 0.2722 0.7500 0.0243  2 Xe 2.30-2.31
F: 0.2977 0.0890 0.3156  1 Xe 2.00
F: 0.2977 0.4110 0.3156  1 Xe 2.00
F: 0.3311 0.2500 0.9580  1 Au 1.93
F: 0.3415 0.5296 0.5226  1 Au 1.95
F: 0.3415 0.9704 0.5226  1 Au 1.95
F: 0.3616 0.5941 0.1557  1 Xe 1.98
F: 0.3616 0.9059 0.1557  1 Xe 1.98
F: 0.4199 0.0870 0.7042  1 Xe 2.00
F: 0.4199 0.4130 0.7042  1 Xe 2.00
F: 0.4280 0.7500 0.7862  1 Xe 1.97
F: 0.4329 0.5910 0.9198  1 Xe 1.98
F: 0.4329 0.9090 0.9198  1 Xe 1.98
F: 0.4589 0.7500 0.4201  1 Au 1.98
F: 0.4792 0.2500 0.4101  1 Au 1.98
F: 0.5208 0.7500 0.5899  1 Au 1.98
F: 0.5411 0.2500 0.5799  1 Au 1.98
F: 0.5671 0.0910 0.0802  1 Xe 1.98
F: 0.5671 0.4090 0.0802  1 Xe 1.98
F: 0.5720 0.2500 0.2138  1 Xe 1.97
F: 0.5801 0.5870 0.2958  1 Xe 2.00
F: 0.5801 0.9130 0.2958  1 Xe 2.00
F: 0.6384 0.0941 0.8443  1 Xe 1.98
F: 0.6384 0.4059 0.8443  1 Xe 1.98
F: 0.6585 0.0296 0.4774  1 Au 1.95
F: 0.6585 0.4704 0.4774  1 Au 1.95
F: 0.6689 0.7500 0.0420  1 Au 1.93
F: 0.7023 0.5890 0.6844  1 Xe 2.00
F: 0.7023 0.9110 0.6844  1 Xe 2.00
F: 0.7278 0.2500 0.9757  2 Xe 2.30-2.31
F: 0.7294 0.7500 0.8777  1 Au 1.93
F: 0.7320 0.2500 0.7212  1 Xe 1.98
F: 0.7680 0.7500 0.2212  1 Xe 1.98
F: 0.7706 0.2500 0.3777  1 Au 1.93
F: 0.7722 0.7500 0.4757  2 Xe 2.30-2.31
F: 0.7977 0.0890 0.1844  1 Xe 2.00
F: 0.7977 0.4110 0.1844  1 Xe 2.00
F: 0.8311 0.2500 0.5420  1 Au 1.93
F: 0.8415 0.5296 0.9774  1 Au 1.95
F: 0.8415 0.9704 0.9774  1 Au 1.95
F: 0.8616 0.5941 0.3443  1 Xe 1.98
F: 0.8616 0.9059 0.3443  1 Xe 1.98
F: 0.9199 0.0870 0.7958  1 Xe 2.00
F: 0.9199 0.4130 0.7958  1 Xe 2.00
F: 0.9280 0.7500 0.7138  1 Xe 1.97
F: 0.9329 0.5910 0.5802  1 Xe 1.98
F: 0.9329 0.9090 0.5802  1 Xe 1.98
F: 0.9589 0.7500 0.0799  1 Au 1.98
F: 0.9792 0.2500 0.0899  1 Au 1.98

Record 2
The following is a GGA-PBE calculation of a relaxed Pr7Al7Co6 crystal, from the Materials Project database.

## Properties
Formation energy from the elements: -0.358 eV/atom
SG: P4/mbm
Total moment: 0.00 μB per atom

Cell: 13.9601 13.9601 4.1836 Å, 90.00 90.00 90.00°
With the nearest neighbours (Å) after each atom.
Element x y z (fractional)
Pr: 0.0000 0.0000 0.0000  8 Al 3.18
Pr: 0.0476 0.2616 0.0000  1 Co 2.65
Pr: 0.1317 0.6317 0.5000  6 Co 2.97-3.07, 3 Al 3.03-3.22
Pr: 0.2384 0.4524 0.0000  1 Co 2.65
Pr: 0.2616 0.9524 0.0000  1 Co 2.65
Pr: 0.3683 0.1317 0.5000  6 Co 2.97-3.07, 3 Al 3.03-3.22
Pr: 0.4524 0.7616 0.0000  1 Co 2.65
Pr: 0.5000 0.5000 0.0000  8 Al 3.18
Pr: 0.5476 0.2384 0.0000  1 Co 2.65
Pr: 0.6317 0.8683 0.5000  6 Co 2.97-3.07, 3 Al 3.03-3.22
Pr: 0.7384 0.0476 0.0000  1 Co 2.65
Pr: 0.7616 0.5476 0.0000  1 Co 2.65
Pr: 0.8683 0.3683 0.5000  6 Co 2.97-3.07, 3 Al 3.03-3.22
Pr: 0.9524 0.7384 0.0000  1 Co 2.65
Al: 0.0000 0.5000 0.0000  4 Co 2.54
Al: 0.0992 0.8604 0.5000  2 Co 2.50
Al: 0.1396 0.0992 0.5000  2 Co 2.50
Al: 0.2146 0.2854 0.5000  5 Co 2.68-2.80, 2 Al 2.80
Al: 0.2854 0.7854 0.5000  5 Co 2.68-2.80, 2 Al 2.80
Al: 0.3604 0.5992 0.5000  2 Co 2.50
Al: 0.4008 0.3604 0.5000  2 Co 2.50
Al: 0.5000 0.0000 0.0000  4 Co 2.54
Al: 0.5992 0.6396 0.5000  2 Co 2.50
Al: 0.6396 0.4008 0.5000  2 Co 2.50
Al: 0.7146 0.2146 0.5000  5 Co 2.68-2.80, 2 Al 2.80
Al: 0.7854 0.7146 0.5000  5 Co 2.68-2.80, 2 Al 2.80
Al: 0.8604 0.9008 0.5000  2 Co 2.50
Al: 0.9008 0.1396 0.5000  2 Co 2.50
Co: 0.0728 0.4272 0.5000  3 Al 2.54-2.80
Co: 0.1658 0.7889 0.0000  1 Co 2.43, 4 Al 2.50-2.68, 1 Pr 2.65
Co: 0.2111 0.1658 0.0000  1 Co 2.43, 4 Al 2.50-2.68, 1 Pr 2.65
Co: 0.2889 0.6658 0.0000  1 Co 2.43, 4 Al 2.50-2.68, 1 Pr 2.65
Co: 0.3342 0.2889 0.0000  1 Co 2.43, 4 Al 2.50-2.68, 1 Pr 2.65
Co: 0.4272 0.9272 0.5000  3 Al 2.54-2.80
Co: 0.5728 0.0728 0.5000  3 Al 2.54-2.80
Co: 0.6658 0.7111 0.0000  1 Co 2.43, 4 Al 2.50-2.68, 1 Pr 2.65
Co: 0.7111 0.3342 0.0000  1 Co 2.43, 4 Al 2.50-2.68, 1 Pr 2.65
Co: 0.7889 0.8342 0.0000  1 Co 2.43, 4 Al 2.50-2.68, 1 Pr 2.65
Co: 0.8342 0.2111 0.0000  1 Co 2.43, 4 Al 2.50-2.68, 1 Pr 2.65
Co: 0.9272 0.5728 0.5000  3 Al 2.54-2.80

Record 3
The following is a GGA-PBE calculation of a relaxed ReH3O5 crystal, from the Materials Project database.

## Properties
Formation energy from the elements: -1.645 eV/atom
Energy relative to the lowest polymorph listed for this composition: 0.15 eV per formula unit
SG: P1
Total moment: 0.00 μB per atom

Cell: 5.5777 5.6050 7.7641 Å, 72.74 70.05 89.86°
With the nearest neighbours (Å) after each atom.
Element x y z (fractional)
Re: 0.0000 0.0000 0.0000  4 O 1.73-1.78
Re: 0.2511 0.7823 0.5013  4 O 1.74-1.79
H: 0.3174 0.5910 0.0585  1 O 1.07
H: 0.5452 0.4510 0.1286  1 O 0.99
H: 0.6249 0.6528 0.9168  1 O 1.00
H: 0.6863 0.1364 0.6305  1 O 0.99
H: 0.8378 0.4270 0.5633  1 O 1.09
H: 0.8779 0.2541 0.4106  1 O 0.99
O: 0.0850 0.7091 0.1223  1 H 1.46
O: 0.2024 0.0849 0.3794  1 Re 1.75
O: 0.2775 0.1959 0.8465  1 Re 1.73
O: 0.3930 0.8016 0.6661  1 Re 1.75
O: 0.4576 0.6567 0.3341  1 Re 1.74
O: 0.4936 0.5116 0.0148  3 H 0.99-1.07
O: 0.7477 0.2930 0.5203  3 H 0.99-1.09
O: 0.8185 0.9503 0.8636  1 Re 1.77, 1 H 1.85
O: 0.8263 0.1515 0.1636  1 Re 1.75
O: 0.9514 0.5876 0.6213  1 H 1.36

Among the records above, which one has the lowest formation energy from the elements?
ReH3O5

What is the formula in the third record?
ReH3O5

The highest formation energy from the elements belongs to which entry?
Pr7Al7Co6